1.
Entry from Materials Project: Li2FeF6 after structural relaxation (PBE+U).

The energy of formation comes out at -2608 meV per atom. Its space group is C2/m, No. 12. Its magnetic moment is 4.00 Bohr magnetons per cell. The calculation puts the total DFT energy (no corrections) at -4.691 eV/atom.

Cell lengths 5.0129, 5.0129, 4.4856 Å; angles 88.44, 88.44, 120.32 degrees
Element x y z (fractional)
F 0.0088 0.3195 0.7474
F 0.6805 0.9912 0.2526
F 0.7078 0.7078 0.7781
F 0.2922 0.2922 0.2219
F 0.9912 0.6805 0.2526
F 0.3195 0.0088 0.7474
Li 0.3176 0.6824 0.5000
Li 0.6824 0.3176 0.5000
Fe 0.0000 0.0000 0.0000

=====

2.
Entry from Materials Project: Li2FeF5 after structural relaxation (PBE+U).

The energy of formation comes out at -2916 meV per atom. Its space group is C2/c, No. 15. The calculation puts the total DFT energy (no corrections) at -5.078 eV/atom.

Cell lengths 5.7710, 5.7710, 7.2622 Å; angles 70.60, 70.60, 52.49 degrees
Element x y z (fractional)
Li 0.3725 0.3417 0.7463
Li 0.6275 0.6583 0.2537
Li 0.6583 0.6275 0.7537
Li 0.3417 0.3725 0.2463
Fe 0.0000 0.0000 0.5000
Fe 0.0000 0.0000 0.0000
F 0.1776 0.8224 0.7500
F 0.8224 0.1776 0.2500
F 0.9719 0.6692 0.1455
F 0.0281 0.3308 0.8545
F 0.4051 0.7644 0.0433
F 0.3308 0.0281 0.3545
F 0.5949 0.2356 0.9567
F 0.6692 0.9719 0.6455
F 0.7644 0.4051 0.5433
F 0.2356 0.5949 0.4567

=====

3.
Entry from Materials Project: LiFeF3 after structural relaxation (PBE+U).

The energy of formation comes out at -2752 meV per atom. Its space group is P-1, No. 2. Its magnetic moment is 48.00 Bohr magnetons per cell. The calculation puts the total DFT energy (no corrections) at -5.248 eV/atom.

Cell lengths 5.8014, 5.8148, 23.2695 Å; angles 89.96, 89.96, 60.46 degrees
Element x y z (fractional)
Fe 0.6668 0.6647 0.0147
Fe 0.3332 0.3336 0.4841
Fe 0.6668 0.6664 0.5159
Fe 0.9967 0.9959 0.7604
Fe 0.0000 0.0000 0.0000
Fe 0.0000 0.0000 0.5000
Fe 0.3332 0.3353 0.9853
Fe 0.0033 0.0041 0.2396
Fe 0.3350 0.3384 0.2379
Fe 0.6683 0.6733 0.2678
Fe 0.3317 0.3267 0.7322
Fe 0.6650 0.6616 0.7621
F 0.3244 0.6225 0.7883
F 0.3799 0.9539 0.2115
F 0.3319 0.3257 0.8963
F 0.6201 0.0461 0.7885
F 0.6681 0.6625 0.6071
F 0.0448 0.3200 0.7879
F 0.9435 0.3564 0.9607
F 0.6681 0.6743 0.1037
F 0.9975 0.9979 0.8627
F 0.0565 0.6436 0.0393
F 0.0027 0.0012 0.3842
F 0.9973 0.9988 0.6158
F 0.9552 0.6800 0.2121
F 0.0025 0.0021 0.1373
F 0.6669 0.6654 0.8560
F 0.6851 0.9582 0.4626
F 0.6643 0.0542 0.2877
F 0.3331 0.3346 0.1440
F 0.2965 0.0502 0.0389
F 0.0460 0.6425 0.5374
F 0.3547 0.6946 0.9604
F 0.9550 0.7057 0.7120
F 0.9540 0.3575 0.4626
F 0.3277 0.3343 0.6439
F 0.6453 0.3054 0.0396
F 0.6723 0.6657 0.3561
F 0.7035 0.9498 0.9611
F 0.0450 0.2943 0.2880
F 0.6756 0.3775 0.2117
F 0.3319 0.3375 0.3929
F 0.3624 0.6875 0.4622
F 0.7034 0.3399 0.7114
F 0.3357 0.9458 0.7123
F 0.3149 0.0418 0.5374
F 0.2966 0.6601 0.2886
F 0.6376 0.3125 0.5378
Li 0.3230 0.9953 0.6237
Li 0.6657 0.3379 0.1274
Li 0.0044 0.6658 0.1273
Li 0.6631 0.9960 0.8732
Li 0.3242 0.6789 0.3765
Li 0.9956 0.3342 0.8727
Li 0.3343 0.6621 0.8726
Li 0.6770 0.0047 0.3763
Li 0.3369 0.0040 0.1268
Li 0.9964 0.6753 0.6235
Li 0.6758 0.3211 0.6235
Li 0.0036 0.3247 0.3765

=====

4.
Entry from Materials Project: Li2FeF5 after structural relaxation (PBE+U).

The energy of formation comes out at -2904 meV per atom. Its space group is Cmcm, No. 63. Its magnetic moment is 10.00 Bohr magnetons per cell. The calculation puts the total DFT energy (no corrections) at -5.066 eV/atom.

Cell lengths 5.3276, 5.3276, 10.0872 Å; angles 90.00, 90.00, 137.26 degrees
Element x y z (fractional)
F 0.3116 0.6884 0.0925
F 0.7362 0.2638 0.2500
F 0.2638 0.7362 0.7500
F 0.6884 0.3116 0.9075
F 0.6884 0.3116 0.5925
F 0.0510 0.9490 0.1202
F 0.9490 0.0510 0.6202
F 0.0510 0.9490 0.3798
F 0.9490 0.0510 0.8798
F 0.3116 0.6884 0.4075
Fe 0.1916 0.8084 0.2500
Fe 0.8084 0.1916 0.7500
Li 0.8664 0.1336 0.0568
Li 0.1336 0.8664 0.5568
Li 0.1336 0.8664 0.9432
Li 0.8664 0.1336 0.4432

=====

5.
Entry from Materials Project: Li2FeF5 after structural relaxation (PBE+U).

The energy of formation comes out at -2836 meV per atom. Its space group is Pnma, No. 62. Its magnetic moment is 20.00 Bohr magnetons per cell. The calculation puts the total DFT energy (no corrections) at -4.998 eV/atom.

Cell lengths 6.1993, 6.3905, 8.9000 Å; angles 90.00, 90.00, 90.00 degrees
Element x y z (fractional)
F 0.2500 0.8806 0.2834
F 0.7500 0.3806 0.2166
F 0.2500 0.9159 0.9901
F 0.9556 0.6679 0.0609
F 0.4556 0.1679 0.4391
F 0.2500 0.4409 0.1966
F 0.2500 0.5841 0.4901
F 0.7500 0.5591 0.8034
F 0.5444 0.6679 0.0609
F 0.5444 0.8321 0.5609
F 0.2500 0.0591 0.6966
F 0.0444 0.3321 0.9391
F 0.7500 0.9409 0.3034
F 0.7500 0.4159 0.5099
F 0.9556 0.8321 0.5609
F 0.7500 0.0841 0.0099
F 0.7500 0.1194 0.7166
F 0.0444 0.1679 0.4391
F 0.2500 0.6194 0.7834
F 0.4556 0.3321 0.9391
Li 0.5176 0.9439 0.1537
Li 0.0176 0.0561 0.8463
Li 0.0176 0.4439 0.3463
Li 0.4824 0.4439 0.3463
Li 0.4824 0.0561 0.8463
Li 0.9824 0.9439 0.1537
Li 0.5176 0.5561 0.6537
Li 0.9824 0.5561 0.6537
Fe 0.7500 0.0805 0.5012
Fe 0.2500 0.9195 0.4988
Fe 0.2500 0.5805 0.9988
Fe 0.7500 0.4195 0.0012

=====

6.
Entry from Materials Project: LiFeF3 after structural relaxation (PBE+U).

The energy of formation comes out at -2732 meV per atom. Its space group is Cmcm, No. 63. Its magnetic moment is 8.00 Bohr magnetons per cell. The calculation puts the total DFT energy (no corrections) at -5.228 eV/atom.

Cell lengths 5.0753, 5.0753, 7.1690 Å; angles 90.00, 90.00, 146.24 degrees
Element x y z (fractional)
Li 0.0000 0.0000 0.5000
Li 0.0000 0.0000 0.0000
F 0.3566 0.6434 0.4306
F 0.3566 0.6434 0.0694
F 0.0945 0.9055 0.2500
F 0.6434 0.3566 0.5694
F 0.6434 0.3566 0.9306
F 0.9055 0.0945 0.7500
Fe 0.2490 0.7510 0.7500
Fe 0.7510 0.2490 0.2500